[1]
Li4Ti2Mn3V3O16, optimized geometry, DFT GGA+U; excess energy over the best structure of this formula in the dataset = 0.43 eV/f.u.; calculated volume = 10.6 Å³ per atom
1.0
5.2589 -2.9374 0.0000
5.2589 2.9374 0.0000
-0.5102 0.0000 9.6116
Li Ti Mn V O
4 2 3 3 16
Cartesian
0.0000 0.0000 0.0000 Li
10.2622 0.0000 4.7999 Li
3.0406 0.0000 8.7288 Li
6.6535 0.0000 3.9057 Li
3.2533 0.0000 4.8551 Ti
6.9101 0.0000 0.0567 Ti
4.1597 1.4581 2.1107 Mn
4.1597 -1.4581 2.1107 Mn
8.3809 0.0000 6.8649 Mn
1.6545 0.0000 2.2526 V
5.8785 1.4584 6.9967 V
5.8785 -1.4584 6.9967 V
-0.3160 0.0000 7.8112 O
2.3929 1.2746 3.4358 O
1.4507 0.0000 5.8738 O
4.1423 1.4196 5.7254 O
3.3335 0.0000 1.1217 O
6.1663 1.4654 0.9731 O
2.3929 -1.2746 3.4358 O
4.7491 0.0000 3.3098 O
7.2450 1.3662 8.1894 O
5.0378 0.0000 8.1501 O
6.4939 0.0000 5.8675 O
4.1423 -1.4196 5.7254 O
8.7216 0.0000 0.9387 O
6.1663 -1.4654 0.9731 O
7.2450 -1.3662 8.1894 O
10.3275 0.0000 2.9765 O

[2]
Li4Ti4Mn4VO18, optimized geometry, DFT GGA+U; total energy = -7.604 eV per atom; calculated volume = 11.4 Å³ per atom
1.0
9.1396 0.0000 0.0000
0.0000 26.5360 0.0000
0.0000 0.0000 2.9112
Li Ti Mn V O
8 8 8 2 36
Cartesian
1.7463 0.3737 0.0000 Li
1.8415 21.7919 0.0000 Li
2.7283 8.5239 0.0000 Li
2.8235 13.6417 0.0000 Li
6.3161 12.8944 0.0000 Li
6.4113 18.0122 0.0000 Li
7.2981 4.7441 0.0000 Li
7.3934 26.1624 0.0000 Li
0.0917 2.7069 0.0000 Ti
1.3874 5.0949 1.4556 Ti
3.1824 18.3630 1.4556 Ti
4.4781 15.9749 0.0000 Ti
4.6615 10.5611 0.0000 Ti
5.9573 8.1731 1.4556 Ti
7.7522 21.4411 1.4556 Ti
9.0479 23.8291 0.0000 Ti
0.0380 18.3394 0.0000 Mn
1.4243 10.9748 1.4556 Mn
3.1455 24.2428 1.4556 Mn
4.5318 5.0714 0.0000 Mn
4.6078 21.4647 0.0000 Mn
5.9941 2.2932 1.4556 Mn
7.7153 15.5613 1.4556 Mn
9.1016 8.1967 0.0000 Mn
0.0000 13.2680 0.0000 V
4.5698 0.0000 0.0000 V
0.1773 11.3071 0.0000 O
0.3992 22.4285 1.4556 O
0.5702 1.5411 1.4556 O
0.9504 6.2608 0.0000 O
1.1461 8.8027 1.4556 O
1.2630 18.7439 1.4556 O
1.3413 13.3234 1.4556 O
1.7080 3.7477 0.0000 O
1.8347 24.2610 0.0000 O
2.7351 10.9930 0.0000 O
2.8618 17.0157 0.0000 O
3.2285 0.0554 1.4556 O
3.3068 5.4759 1.4556 O
3.4237 22.0707 1.4556 O
3.6195 19.5288 0.0000 O
3.9996 14.8091 1.4556 O
4.1706 9.1605 1.4556 O
4.3925 24.5751 0.0000 O
4.7471 1.9610 0.0000 O
4.9690 17.3755 1.4556 O
5.1400 11.7269 1.4556 O
5.5202 7.0072 0.0000 O
5.7159 4.4654 1.4556 O
5.8328 21.0602 1.4556 O
5.9111 26.4806 1.4556 O
6.2778 9.5203 0.0000 O
6.4046 15.5431 0.0000 O
7.3049 2.2750 0.0000 O
7.4316 22.7883 0.0000 O
7.7983 13.2126 1.4556 O
7.8766 7.7921 1.4556 O
7.9935 17.7334 1.4556 O
8.1893 20.2752 0.0000 O
8.5694 24.9949 1.4556 O
8.7404 4.1075 1.4556 O
8.9623 15.2290 0.0000 O